First-principles (PBE) data for a relaxed LaGaO3 crystal, as listed in the Materials Project database.

Unit cell a=5.546 b=5.594 c=7.851 alpha=90.00 beta=90.00 gamma=90.00
Fractional coordinates of all 20 atoms:
La: 0.495 0.508 0.750
La: 0.995 0.992 0.750
La: 0.005 0.008 0.250
La: 0.505 0.492 0.250
Ga: 0.000 0.500 0.500
Ga: 0.500 0.000 0.000
Ga: 0.500 0.000 0.500
Ga: 0.000 0.500 0.000
O: 0.744 0.746 0.544
O: 0.499 0.919 0.250
O: 0.001 0.419 0.750
O: 0.256 0.254 0.456
O: 0.501 0.081 0.750
O: 0.244 0.754 0.956
O: 0.244 0.754 0.544
O: 0.756 0.246 0.456
O: 0.999 0.581 0.250
O: 0.744 0.746 0.956
O: 0.256 0.254 0.044
O: 0.756 0.246 0.044

* formation energy: -3.09 eV/atom
* VASP energy: -0.2662 Ha/atom
* crystal system: orthorhombic